Entry 1:
A relaxed structure of Mo2P3O12. Source: the Materials Project database, functional r²SCAN.

For the calculated volume, the calculation gives 13.9 Å³ per atom. The total moment is 0.18 μB per atom. As for the calculated formation energy: -2262 meV/atom. The total energy comes out at -378.5 eV for the cell shown.

a = 8.652 Å, b = 8.653 Å, c = 8.848 Å
α = 90.06°, β = 119.25°, γ = 119.93°
Space group P-1 (No. 2)
Unique sites:
1 Mo 0.215 0.359 0.073
2 Mo 0.217 0.859 0.575
3 P 0.001 0.035 0.251
4 P 0.283 0.534 0.750
5 P 0.285 0.751 0.249
6 O 0.084 0.365 0.580
7 O 0.089 0.726 0.079
8 O 0.138 0.007 0.424
9 O 0.142 0.140 0.915
10 O 0.148 0.932 0.731
11 O 0.153 0.207 0.227
12 O 0.276 0.509 0.917
13 O 0.284 0.575 0.230
14 O 0.286 0.787 0.419
15 O 0.295 0.713 0.726
16 O 0.481 0.555 0.776
17 O 0.485 0.918 0.269

=====

Entry 2:
A relaxed structure of SnSe. Source: the Materials Project database, functional r²SCAN.

For the calculated volume, the calculation gives 28.3 Å³ per atom. The total moment is 0.00 μB per atom. As for the calculated formation energy: -454 meV/atom. The total energy comes out at -159.9 eV for the cell shown.

a = 11.664 Å, b = 4.126 Å, c = 4.701 Å
α = 90.00°, β = 90.00°, γ = 90.00°
Space group Pnma (No. 62)
Unique sites:
1 Sn 0.119 0.250 0.123
2 Se 0.149 0.750 0.509

=====

Entry 3:
A relaxed structure of Sm2EuSe4. Source: the Materials Project database, functional r²SCAN.

For the calculated volume, the calculation gives 25.4 Å³ per atom. The total moment is 1.00 μB per atom. As for the calculated formation energy: -2233 meV/atom. The total energy comes out at -683.4 eV for the cell shown.

a = 8.936 Å, b = 8.936 Å, c = 8.899 Å
α = 90.00°, β = 90.00°, γ = 90.00°
Space group I-42d (No. 122)
Unique sites:
1 Sm 0.126 0.750 0.125
2 Eu 0.000 0.000 0.500
3 Se 0.074 0.675 0.442

=====

Entry 4:
A relaxed structure of TiGa3. Source: the Materials Project database, functional r²SCAN.

For the calculated volume, the calculation gives 15.4 Å³ per atom. The total moment is 0.00 μB per atom. As for the calculated formation energy: -399 meV/atom. The total energy comes out at -97.7 eV for the cell shown.

a = 3.761 Å, b = 3.761 Å, c = 8.737 Å
α = 90.00°, β = 90.00°, γ = 90.00°
Space group I4/mmm (No. 139)
Unique sites:
1 Ti 0.000 0.000 0.000
2 Ga 0.000 0.000 0.500
3 Ga 0.000 0.500 0.250

=====

Entry 5:
A relaxed structure of TbOF. Source: the Materials Project database, functional r²SCAN.

For the calculated volume, the calculation gives 13.3 Å³ per atom. The total moment is 0.00 μB per atom. As for the calculated formation energy: -4245 meV/atom. The total energy comes out at -318.4 eV for the cell shown.

a = 3.8109 Å, b = 3.8109 Å, c = 18.9771 Å
α = 90.00°, β = 90.00°, γ = 120.00°
Space group R-3m (No. 166, hexagonal axes)
Unique sites:
1 Tb 0.0000 0.0000 0.2416
2 O 0.0000 0.0000 0.1214
3 F 0.0000 0.0000 0.3697

=====

Entry 6:
A relaxed structure of PrMg. Source: the Materials Project database, functional r²SCAN.

For the calculated volume, the calculation gives 30.1 Å³ per atom. The total moment is 0.00 μB per atom. As for the calculated formation energy: -102 meV/atom. The total energy comes out at -33.8 eV for the cell shown.

a = 3.918 Å, b = 3.918 Å, c = 3.918 Å
α = 90.00°, β = 90.00°, γ = 90.00°
Space group Pm-3m (No. 221)
Unique sites:
1 Pr 0.000 0.000 0.000
2 Mg 0.500 0.500 0.500

=====

Entry 7:
A relaxed structure of Lu2WO6. Source: the Materials Project database, functional r²SCAN.

For the calculated volume, the calculation gives 11.7 Å³ per atom. The total moment is 0.00 μB per atom. As for the calculated formation energy: -3383 meV/atom. The total energy comes out at -775.2 eV for the cell shown.

a = 7.491 Å, b = 5.227 Å, c = 11.144 Å
α = 90.00°, β = 104.86°, γ = 90.00°
Space group P2/c (No. 13)
Unique sites:
1 Lu 0.000 0.184 0.250
2 Lu 0.296 0.317 0.921
3 Lu 0.500 0.240 0.250
4 W 0.222 0.244 0.614
5 O 0.014 0.141 0.885
6 O 0.132 0.348 0.449
7 O 0.211 0.479 0.230
8 O 0.291 0.037 0.775
9 O 0.348 0.037 0.069
10 O 0.441 0.460 0.604

=====

Entry 8:
A relaxed structure of Sm2ThS5. Source: the Materials Project database, functional r²SCAN.

For the calculated volume, the calculation gives 23.1 Å³ per atom. The total moment is 0.00 μB per atom. As for the calculated formation energy: -2341 meV/atom. The total energy comes out at -767.3 eV for the cell shown.

a = 12.032 Å, b = 8.171 Å, c = 7.533 Å
α = 90.00°, β = 90.00°, γ = 90.00°
Space group Pnma (No. 62)
Unique sites:
1 Sm 0.179 0.001 0.014
2 Th 0.009 0.750 0.577
3 S 0.001 0.750 0.961
4 S 0.103 0.043 0.661
5 S 0.186 0.750 0.326
6 S 0.218 0.250 0.297

=====

Entry 9:
A relaxed structure of TiF3. Source: the Materials Project database, functional r²SCAN.

For the calculated volume, the calculation gives 15.0 Å³ per atom. The total moment is 0.25 μB per atom. As for the calculated formation energy: -3599 meV/atom. The total energy comes out at -73.4 eV for the cell shown.

a = 5.479 Å, b = 5.513 Å, c = 5.544 Å
α = 61.07°, β = 60.61°, γ = 60.51°
Space group P-1 (No. 2)
Unique sites:
1 Ti 0.000 0.000 0.000
2 Ti 0.500 0.500 0.500
3 F 0.215 0.755 0.754
4 F 0.253 0.720 0.251
5 F 0.284 0.222 0.748

=====

Entry 10:
A relaxed structure of Pr3Sn5Au6. Source: the Materials Project database, functional r²SCAN.

For the calculated volume, the calculation gives 23.3 Å³ per atom. The total moment is 0.00 μB per atom. As for the calculated formation energy: -665 meV/atom. The total energy comes out at -1049.5 eV for the cell shown.

a = 4.575 Å, b = 13.630 Å, c = 10.458 Å
α = 90.00°, β = 90.00°, γ = 90.00°
Space group Pmmn (No. 59, origin choice 2)
Unique sites:
1 Pr 0.250 0.068 0.244
2 Pr 0.250 0.750 0.244
3 Sn 0.250 0.087 0.878
4 Sn 0.250 0.610 0.523
5 Sn 0.250 0.750 0.776
6 Au 0.250 0.085 0.622
7 Au 0.250 0.250 0.037
8 Au 0.250 0.250 0.445
9 Au 0.250 0.605 0.976

=====

Entry 11:
A relaxed structure of Nb5Si3. Source: the Materials Project database, functional r²SCAN.

For the calculated volume, the calculation gives 16.2 Å³ per atom. The distance to the lowest polymorph of the same formula is 0 meV per atom. The total moment is 0.00 μB per atom. As for the calculated formation energy: -723 meV/atom. The total energy comes out at -623.1 eV for the cell shown.

a = 6.601 Å, b = 6.601 Å, c = 11.927 Å
α = 90.00°, β = 90.00°, γ = 90.00°
Space group I4/mcm (No. 140)
Unique sites:
1 Nb 0.000 0.000 0.000
2 Nb 0.166 0.334 0.149
3 Si 0.000 0.000 0.250
4 Si 0.128 0.372 0.500

=====

Entry 12:
A relaxed structure of MgP4. Source: the Materials Project database, functional r²SCAN.

For the calculated volume, the calculation gives 19.7 Å³ per atom. The total moment is 0.00 μB per atom. As for the calculated formation energy: -382 meV/atom. The total energy comes out at -84.2 eV for the cell shown.

a = 5.170 Å, b = 5.103 Å, c = 7.546 Å
α = 90.00°, β = 98.73°, γ = 90.00°
Space group P2_1/c (No. 14)
Unique sites:
1 Mg 0.000 0.000 0.000
2 P 0.255 0.206 0.754
3 P 0.398 0.608 0.100